1.
VASP calculation (PBE) on a geometry-optimized NaSnPHO4F structure.

abc: 4.971 5.319 19.364
angles: 90.00 90.00 90.00
Fractional coordinates of all 36 atoms:
Na 0.247 0.250 0.009
Na 0.253 0.750 0.509
Na 0.747 0.250 0.491
Na 0.753 0.750 0.991
Sn 0.205 0.750 0.138
Sn 0.295 0.250 0.638
Sn 0.705 0.750 0.362
Sn 0.795 0.250 0.862
P 0.224 0.750 0.873
P 0.276 0.250 0.373
P 0.724 0.750 0.627
P 0.776 0.250 0.127
H 0.205 0.250 0.261
H 0.295 0.750 0.761
H 0.705 0.250 0.239
H 0.795 0.750 0.739
O 0.029 0.750 0.623
O 0.092 0.513 0.905
O 0.092 0.987 0.905
O 0.135 0.750 0.791
O 0.365 0.250 0.291
O 0.408 0.013 0.405
O 0.408 0.487 0.405
O 0.471 0.250 0.123
O 0.529 0.750 0.877
O 0.592 0.513 0.595
O 0.592 0.987 0.595
O 0.635 0.750 0.709
O 0.865 0.250 0.209
O 0.908 0.013 0.095
O 0.908 0.487 0.095
O 0.971 0.250 0.377
F 0.170 0.250 0.536
F 0.330 0.750 0.036
F 0.670 0.250 0.964
F 0.830 0.750 0.464

Properties
**Energy relative to the lowest polymorph listed for this composition**: 0.00 eV per formula unit
**Space-group type**: Pnma
**Calculated volume**: 512 Å³/cell
**Crystal system**: orthorhombic
**Magnetic moment**: 0.000 μB per formula unit

2.
VASP calculation (PBE) on a geometry-optimized NaSnPHO4F structure.

abc: 4.870 5.325 19.139
angles: 90.00 90.00 90.00
Fractional coordinates of all 36 atoms:
Na 0.230 0.250 0.009
Na 0.270 0.750 0.509
Na 0.730 0.250 0.491
Na 0.770 0.750 0.991
Sn 0.227 0.750 0.138
Sn 0.273 0.250 0.638
Sn 0.727 0.750 0.362
Sn 0.773 0.250 0.862
P 0.207 0.750 0.872
P 0.293 0.250 0.372
P 0.707 0.750 0.628
P 0.793 0.250 0.128
H 0.078 0.250 0.221
H 0.422 0.750 0.721
H 0.578 0.250 0.279
H 0.922 0.750 0.779
O 0.018 0.750 0.625
O 0.078 0.513 0.906
O 0.078 0.987 0.906
O 0.121 0.750 0.790
O 0.379 0.250 0.290
O 0.422 0.013 0.406
O 0.422 0.487 0.406
O 0.482 0.250 0.125
O 0.518 0.750 0.875
O 0.578 0.513 0.594
O 0.578 0.987 0.594
O 0.621 0.750 0.710
O 0.879 0.250 0.210
O 0.922 0.013 0.094
O 0.922 0.487 0.094
O 0.982 0.250 0.375
F 0.151 0.250 0.535
F 0.349 0.750 0.035
F 0.651 0.250 0.965
F 0.849 0.750 0.465

Properties
**Energy relative to the lowest polymorph listed for this composition**: 0.08 eV per formula unit
**Space-group type**: Pnma
**Calculated volume**: 496 Å³/cell
**Crystal system**: orthorhombic
**Magnetic moment**: 0.000 μB per formula unit

3.
VASP calculation (PBE) on a geometry-optimized Na2TeHSO5F3 structure.

abc: 8.376 7.572 10.909
angles: 90.00 90.32 90.00
Fractional coordinates of all 52 atoms:
Na 0.056 0.000 0.259
Na 0.056 0.500 0.759
Na 0.247 0.232 0.528
Na 0.247 0.268 0.028
Na 0.753 0.732 0.972
Na 0.753 0.768 0.472
Na 0.944 0.000 0.741
Na 0.944 0.500 0.241
Te 0.416 0.535 0.285
Te 0.416 0.965 0.785
Te 0.584 0.035 0.215
Te 0.584 0.465 0.715
H 0.430 0.647 0.566
H 0.430 0.853 0.066
H 0.570 0.147 0.934
H 0.570 0.353 0.434
S 0.142 0.738 0.988
S 0.142 0.762 0.488
S 0.858 0.238 0.512
S 0.858 0.262 0.012
O 0.014 0.705 0.402
O 0.014 0.795 0.902
O 0.093 0.747 0.617
O 0.093 0.753 0.117
O 0.193 0.556 0.958
O 0.193 0.944 0.458
O 0.285 0.635 0.471
O 0.285 0.865 0.971
O 0.460 0.160 0.893
O 0.460 0.340 0.393
O 0.540 0.660 0.607
O 0.540 0.840 0.107
O 0.715 0.135 0.029
O 0.715 0.365 0.529
O 0.807 0.056 0.542
O 0.807 0.444 0.042
O 0.907 0.247 0.883
O 0.907 0.253 0.383
O 0.986 0.205 0.098
O 0.986 0.295 0.598
F 0.210 0.095 0.764
F 0.210 0.405 0.264
F 0.343 0.072 0.195
F 0.343 0.428 0.695
F 0.473 0.102 0.639
F 0.473 0.398 0.139
F 0.527 0.602 0.861
F 0.527 0.898 0.361
F 0.657 0.572 0.305
F 0.657 0.928 0.805
F 0.790 0.595 0.736
F 0.790 0.905 0.236

Properties
**Space-group type**: P2_1/c
**Calculated volume**: 692 Å³/cell
**Crystal system**: monoclinic
**Magnetic moment**: 0.001 μB per formula unit

| no. | DFT formation energy (eV per atom) |
| --- | --- |
| 1 | -2.328 |
| 2 | -2.319 |
| 3 | -2.144 |